Model w:
Here is SrLaEuNbO6 after structural relaxation from the Materials Project. Energies are from PBE.

Calculated values
M_tot = 6.99 μB/f.u.
Calculated density = 5.939 Mg/m³

a b c (Å): 8.5826 8.5967 8.6008
angles (deg): 90.00 90.00 90.00
With the nearest neighbours (Å) after each atom.
Space group P222 (No. 16)
Inequivalent atoms, fractional coordinates:
Sr 0.0000 0.0000 0.0000 x1  4 O 2.48
Sr 0.0000 0.5000 0.0000 x1  4 O 2.47
Sr 0.5000 0.0000 0.0000 x1  4 O 2.47
Sr 0.5000 0.5000 0.5000 x1  4 O 2.47
La 0.2501 0.2503 0.2497 x4  6 O 2.40-2.41
Eu 0.0000 0.0000 0.5000 x1  12 O 3.03
Eu 0.0000 0.5000 0.5000 x1  4 O 2.46
Eu 0.5000 0.0000 0.5000 x1  4 O 2.45
Eu 0.5000 0.5000 0.0000 x1  12 O 3.03-3.04
Nb 0.2497 0.2505 0.7507 x4  6 O 2.04-2.06
O 0.0215 0.1973 0.7914 x4  1 Nb 2.04
O 0.1960 0.2930 0.5211 x4  1 Nb 2.06
O 0.2082 0.4786 0.8023 x4  1 Nb 2.04
O 0.2932 0.0211 0.6957 x4  1 Nb 2.06
O 0.3026 0.2084 0.9783 x4  1 Nb 2.04
O 0.4788 0.3024 0.7080 x4  1 Nb 2.05


Model x:
Here is SrLaEuNbO6 after structural relaxation from the Materials Project. Energies are from PBE.

Calculated values
M_tot = 7.00 μB/f.u.
Calculated density = 5.776 Mg/m³

a b c (Å): 8.6736 8.6736 8.6736
angles (deg): 90.00 90.00 90.00
With the nearest neighbours (Å) after each atom.
Space group F-43m (No. 216)
Inequivalent atoms, fractional coordinates:
Sr 0.0000 0.0000 0.0000 x4  12 O 3.07
La 0.2500 0.2500 0.2500 x4  6 O 2.33
Eu 0.0000 0.0000 0.5000 x4  12 O 3.07
Nb 0.2500 0.2500 0.7500 x4  6 O 2.01
O 0.0185 0.2500 0.7500 x24  1 Nb 2.01


Short version: model x is the least stable of them.


Model w:
Here is LiEuYO2 after structural relaxation from the Materials Project. Energies are from PBE.

Calculated values
M_tot = 7.60 μB/f.u.
Calculated density = 5.175 Mg/m³

a b c (Å): 6.1052 3.3808 8.7226
angles (deg): 90.00 94.17 90.00
With the nearest neighbours (Å) after each atom.
Space group Cm (No. 8)
Inequivalent atoms, fractional coordinates:
Li 0.0000 0.0000 0.0000 x2  2 O 2.24
Eu 0.1379 0.5000 0.6408 x2  3 O 2.63-2.78
Y 0.2855 0.0000 0.2933 x2  6 O 2.31-2.39
O 0.0979 0.5000 0.1598 x2  2 Li 2.24, 3 Y 2.31
O 0.4649 0.5000 0.4344 x2  3 Y 2.32-2.39


Model x:
Here is LiEuYO2 after structural relaxation from the Materials Project. Energies are from PBE.

Calculated values
M_tot = 7.65 μB/f.u.
Calculated density = 5.075 Mg/m³

a b c (Å): 5.9482 3.4346 9.2077
angles (deg): 90.00 103.23 90.00
With the nearest neighbours (Å) after each atom.
Space group Cm (No. 8)
Inequivalent atoms, fractional coordinates:
Li 0.0000 0.0000 0.0000 x2  3 O 2.37
Eu 0.1157 0.0000 0.3849 x2  3 O 2.67-2.68
Y 0.0674 0.5000 0.7210 x2  6 O 2.32-2.33
O 0.2812 0.0000 0.8550 x2  3 Y 2.32, 3 Li 2.37
O 0.3528 0.5000 0.5850 x2  3 Y 2.33


Short version: model x is the least stable of them.


Model w:
Here is EuMg after structural relaxation from the Materials Project. Energies are from PBE.

Calculated values
Calculated density = 4.228 Mg/m³

a b c (Å): 4.1062 4.1062 4.1062
angles (deg): 90.00 90.00 90.00
With the nearest neighbours (Å) after each atom.
Space group Pm-3m (No. 221)
Inequivalent atoms, fractional coordinates:
Eu 0.0000 0.0000 0.0000 x1  8 Mg 3.56
Mg 0.5000 0.5000 0.5000 x1  8 Eu 3.56


Model x:
Here is EuMg after structural relaxation from the Materials Project. Energies are from PBE.

Calculated values
M_tot = 7.21 μB/f.u.
Calculated density = 4.164 Mg/m³

a b c (Å): 5.8505 4.1053 5.8533
angles (deg): 90.00 90.00 90.00
With the nearest neighbours (Å) after each atom.
Space group Pmma (No. 51)
Inequivalent atoms, fractional coordinates:
Eu 0.2500 0.0000 0.2321 x2  8 Mg 3.55-3.60
Mg 0.2500 0.5000 0.7261 x2  8 Eu 3.55-3.60, 2 Mg 3.95


Short version: model x is the least stable of them.


Model w:
Here is Eu3Mg after structural relaxation from the Materials Project. Energies are from PBE.

Calculated values
Calculated density = 5.444 Mg/m³

a b c (Å): 5.2713 5.2713 5.2713
angles (deg): 90.00 90.00 90.00
With the nearest neighbours (Å) after each atom.
Space group Pm-3m (No. 221)
Inequivalent atoms, fractional coordinates:
Eu 0.0000 0.0000 0.5000 x3  4 Mg 3.73, 8 Eu 3.73
Mg 0.5000 0.5000 0.5000 x1  12 Eu 3.73


Model x:
Here is Eu3Mg after structural relaxation from the Materials Project. Energies are from PBE.

Calculated values
Calculated density = 5.350 Mg/m³

a b c (Å): 7.5308 7.5308 6.0697
angles (deg): 90.00 90.00 120.00
With the nearest neighbours (Å) after each atom.
Space group P6_3/mmc (No. 194)
Inequivalent atoms, fractional coordinates:
Eu 0.1706 0.3413 0.2500 x6  8 Eu 3.68-3.85, 4 Mg 3.70-3.77
Mg 0.3333 0.6667 0.7500 x2  12 Eu 3.70-3.77


Model y:
Here is Eu3Mg after structural relaxation from the Materials Project. Energies are from PBE.

Calculated values
M_tot = 22.14 μB/f.u.
Calculated density = 5.352 Mg/m³

a b c (Å): 3.9696 6.0448 6.2094
angles (deg): 90.00 90.00 90.00
With the nearest neighbours (Å) after each atom.
Space group Pmm2 (No. 25)
Inequivalent atoms, fractional coordinates:
Eu 0.0000 0.0000 0.0000 x1  8 Eu 3.62-3.97, 4 Mg 3.70
Eu 0.0000 0.5000 0.3741 x1  4 Mg 3.67-3.70, 8 Eu 3.72-3.97
Eu 0.5000 0.0000 0.5121 x1  10 Eu 3.62-3.97, 2 Mg 3.77
Mg 0.5000 0.5000 0.8763 x1  10 Eu 3.67-3.77, 2 Mg 3.97


Model z:
Here is Eu3Mg after structural relaxation from the Materials Project. Energies are from PBE.

Calculated values
Calculated density = 5.381 Mg/m³

a b c (Å): 4.1586 12.0335 5.9223
angles (deg): 90.00 90.00 90.00
With the nearest neighbours (Å) after each atom.
Space group Imm2 (No. 44)
Inequivalent atoms, fractional coordinates:
Eu 0.0000 0.0000 0.0000 x2  4 Mg 3.60-3.64, 6 Eu 3.88-3.98
Eu 0.0000 0.2278 0.5132 x4  2 Mg 3.44, 4 Eu 3.66
Mg 0.0000 0.5000 0.9963 x2  8 Eu 3.44-3.64


Short version: model y is the least stable of them.


Model w:
Here is Eu5Mg after structural relaxation from the Materials Project. Energies are from PBE.

Calculated values
M_tot = 37.07 μB/f.u.
Calculated density = 5.604 Mg/m³

a b c (Å): 6.6135 6.6135 6.1339
angles (deg): 90.00 90.00 120.00
With the nearest neighbours (Å) after each atom.
Space group P-62m (No. 189)
Inequivalent atoms, fractional coordinates:
Eu 0.0000 0.6782 0.0000 x3  10 Eu 3.69-3.89, 2 Mg 3.73
Eu 0.3333 0.6667 0.5000 x2  9 Eu 3.80-3.82, 3 Mg 3.82
Mg 0.0000 0.0000 0.5000 x1  12 Eu 3.73-3.82


Model x:
Here is Eu5Mg after structural relaxation from the Materials Project. Energies are from PBE.

Calculated values
M_tot = 37.51 μB/f.u.
Calculated density = 5.475 Mg/m³

a b c (Å): 6.1697 4.0056 19.2449
angles (deg): 90.00 90.00 90.00
With the nearest neighbours (Å) after each atom.
Space group Amm2 (No. 38)
Inequivalent atoms, fractional coordinates:
Eu 0.0000 0.0000 0.0000 x2  2 Mg 3.63, 8 Eu 3.79-4.01
Eu 0.0000 0.0000 0.3141 x2  2 Mg 3.62, 8 Eu 3.76-4.01
Eu 0.5000 0.0000 0.1144 x2  8 Eu 3.67-4.01, 4 Mg 3.77
Eu 0.5000 0.0000 0.4428 x2  12 Eu 3.81-4.01
Eu 0.5000 0.0000 0.7745 x2  10 Eu 3.67-4.01, 2 Mg 3.82
Mg 0.0000 0.0000 0.6572 x2  10 Eu 3.62-3.82, 2 Mg 4.01


Short version: model w is the least stable of them.


Model w:
Here is Na3EuTi2Nb2O12 after structural relaxation from the Materials Project. Energies are from PBE.

Calculated values
M_tot = 6.00 μB/f.u.
Calculated density = 4.751 Mg/m³

a b c (Å): 5.5327 15.6261 5.6152
angles (deg): 90.00 90.12 90.00
With the nearest neighbours (Å) after each atom.
Space group Pm (No. 6)
Inequivalent atoms, fractional coordinates:
Na 0.0000 0.0000 0.0000 x1  8 O 2.45-2.73
Na 0.0074 0.2545 0.9563 x2  3 O 2.40-2.44
Na 0.5066 0.2545 0.4560 x2  3 O 2.39-2.44
Na 0.5135 0.0000 0.4989 x1  8 O 2.43-2.72
Eu 0.0055 0.5000 0.0077 x1  8 O 2.43-2.58
Eu 0.5099 0.5000 0.5075 x1  8 O 2.43-2.58
Ti 0.0116 0.3727 0.4874 x2  4 O 1.87-2.04
Ti 0.5024 0.3726 0.9875 x2  4 O 1.86-2.04
Nb 0.0112 0.1265 0.4874 x2  6 O 1.91-2.12
Nb 0.5008 0.1267 0.9864 x2  6 O 1.92-2.13
O 0.0775 0.0000 0.4447 x1  2 Nb 2.02
O 0.0765 0.5000 0.4409 x1  2 Ti 2.04
O 0.2148 0.1444 0.1717 x2  2 Nb 1.92-2.12
O 0.2239 0.3667 0.1726 x2  1 Ti 1.86
O 0.2921 0.3665 0.6728 x2  1 Ti 1.87
O 0.3013 0.1443 0.6710 x2  2 Nb 1.93-2.10
O 0.4385 0.0000 0.9445 x1  2 Nb 2.02
O 0.4391 0.5000 0.9407 x1  2 Ti 2.04
O 0.5731 0.2534 0.9731 x2  1 Ti 1.90, 1 Nb 2.02
O 0.7195 0.1083 0.2493 x2  2 Nb 1.93-2.11
O 0.7248 0.4001 0.2387 x2  1 Ti 1.92
O 0.7913 0.3999 0.7383 x2  1 Ti 1.91
O 0.7973 0.1085 0.7501 x2  2 Nb 1.91-2.13
O 0.9425 0.2532 0.4729 x2  1 Ti 1.91, 1 Nb 2.02


Model x:
Here is Na3EuTi2Nb2O12 after structural relaxation from the Materials Project. Energies are from PBE.

Calculated values
M_tot = 6.00 μB/f.u.
Calculated density = 4.791 Mg/m³

a b c (Å): 5.5031 5.5864 7.8304
angles (deg): 89.94 89.96 89.77
With the nearest neighbours (Å) after each atom.
Space group P1 (No. 1)
Inequivalent atoms, fractional coordinates:
Na 0.0000 0.0000 0.0000 x1  4 O 2.38-2.65
Na 0.0104 0.9540 0.5015 x1  8 O 2.45-2.73
Na 0.5062 0.4977 0.0010 x1  3 O 2.43-2.44
Eu 0.5012 0.4418 0.5015 x1  8 O 2.38-2.57
Ti 0.0008 0.4680 0.2590 x1  6 O 1.87-2.09
Ti 0.5114 0.9663 0.7453 x1  5 O 1.86-2.08
Nb 0.0038 0.4744 0.7635 x1  6 O 1.93-2.13
Nb 0.5068 0.9682 0.2384 x1  5 O 1.91-2.12
O 0.0651 0.4696 0.0059 x1  1 Nb 1.93, 1 Ti 2.01
O 0.2217 0.2177 0.2968 x1  1 Ti 1.87
O 0.2256 0.2150 0.7069 x1  1 Nb 1.94, 1 Ti 2.12
O 0.2929 0.6988 0.2928 x1  1 Nb 1.96, 1 Ti 2.08
O 0.2961 0.7018 0.7107 x1  1 Ti 1.92, 1 Nb 2.09
O 0.4320 0.9823 0.9978 x1  1 Nb 1.93, 1 Ti 2.03
O 0.5685 0.0027 0.5043 x1  1 Ti 1.92, 1 Nb 2.12
O 0.7089 0.2808 0.7729 x1  1 Nb 1.96, 1 Ti 2.08
O 0.7117 0.2851 0.2324 x1  1 Ti 1.91, 1 Nb 2.10
O 0.7854 0.7785 0.7844 x1  1 Ti 1.86
O 0.7916 0.7750 0.2162 x1  1 Nb 1.91, 1 Ti 2.09
O 0.9273 0.5097 0.4985 x1  1 Ti 1.93, 1 Nb 2.13


Short version: model w is the least stable of them.


Model w:
Here is SrNdEuNbO6 after structural relaxation from the Materials Project. Energies are from PBE.

Calculated values
M_tot = 6.99 μB/f.u.
Calculated density = 6.193 Mg/m³

a b c (Å): 8.4878 8.4951 8.5189
angles (deg): 90.00 90.00 90.00
With the nearest neighbours (Å) after each atom.
Space group Pnnn (No. 48, origin choice 2)
Inequivalent atoms, fractional coordinates:
Sr 0.2500 0.2500 0.2500 x2  4 O 2.48
Sr 0.2500 0.7500 0.2500 x2  4 O 2.48
Nd 0.0000 0.0000 0.0000 x4  6 O 2.35-2.36
Eu 0.2500 0.2500 0.7500 x2  4 O 2.47
Eu 0.2500 0.7500 0.7500 x2  12 O 3.00-3.01
Nb 0.0000 0.0000 0.5000 x4  6 O 2.03-2.04
O 0.0396 0.2305 0.4515 x8  1 Nb 2.03
O 0.0498 0.0406 0.7307 x8  1 Nb 2.04
O 0.2303 0.5487 0.0395 x8  1 Nb 2.03


Model x:
Here is SrNdEuNbO6 after structural relaxation from the Materials Project. Energies are from PBE.

Calculated values
M_tot = 7.00 μB/f.u.
Calculated density = 5.959 Mg/m³

a b c (Å): 8.6104 8.6104 8.6104
angles (deg): 90.00 90.00 90.00
With the nearest neighbours (Å) after each atom.
Space group F-43m (No. 216)
Inequivalent atoms, fractional coordinates:
Sr 0.0000 0.0000 0.0000 x4  12 O 3.05
Nd 0.2500 0.2500 0.2500 x4  6 O 2.30
Eu 0.0000 0.0000 0.5000 x4  12 O 3.05
Nb 0.2500 0.2500 0.7500 x4  6 O 2.01
O 0.0168 0.2500 0.7500 x24  1 Nb 2.01


Short version: model x is the least stable of them.


Model w:
Here is EuS after structural relaxation from the Materials Project. Energies are from PBE.

Calculated values
M_tot = 7.00 μB/f.u.
Calculated density = 6.796 Mg/m³

a b c (Å): 3.5559 3.5559 3.5559
angles (deg): 90.00 90.00 90.00
With the nearest neighbours (Å) after each atom.
Space group Pm-3m (No. 221)
Inequivalent atoms, fractional coordinates:
Eu 0.0000 0.0000 0.0000 x1  8 S 3.08
S 0.5000 0.5000 0.5000 x1  8 Eu 3.08


Model x:
Here is EuS after structural relaxation from the Materials Project. Energies are from PBE.

Calculated values
M_tot = 7.00 μB/f.u.
Calculated density = 3.808 Mg/m³

a b c (Å): 4.1058 4.1058 28.5598
angles (deg): 90.00 90.00 90.00
With the nearest neighbours (Å) after each atom.
Space group I4/mmm (No. 139)
Inequivalent atoms, fractional coordinates:
Eu 0.0000 0.0000 0.0000 x2  6 S 2.90-2.95
Eu 0.0000 0.0000 0.4002 x4  5 S 2.85-2.91
S 0.0000 0.0000 0.1034 x4  5 Eu 2.91-2.95
S 0.0000 0.0000 0.5000 x2  6 Eu 2.85-2.90


Short version: model w is the least stable of them.


Model w:
Here is Sr3Eu after structural relaxation from the Materials Project. Energies are from PBE.

Calculated values
Calculated density = 3.382 Mg/m³

a b c (Å): 9.3396 9.3396 9.3396
angles (deg): 90.00 90.00 90.00
With the nearest neighbours (Å) after each atom.
Space group Fm-3m (No. 225)
Inequivalent atoms, fractional coordinates:
Sr 0.0000 0.0000 0.0000 x4  8 Sr 4.04
Sr 0.2500 0.2500 0.2500 x8  4 Sr 4.04, 4 Eu 4.04
Eu 0.0000 0.0000 0.5000 x4  8 Sr 4.04


Model x:
Here is Sr3Eu after structural relaxation from the Materials Project. Energies are from PBE.

Calculated values
Calculated density = 3.246 Mg/m³

a b c (Å): 8.4088 8.4088 6.9318
angles (deg): 90.00 90.00 120.00
With the nearest neighbours (Å) after each atom.
Space group P6_3/mmc (No. 194)
Inequivalent atoms, fractional coordinates:
Sr 0.1679 0.3358 0.2500 x6  8 Sr 4.17-4.24, 4 Eu 4.20-4.22
Eu 0.3333 0.6667 0.7500 x2  12 Sr 4.20-4.22


Short version: model x is the least stable of them.


Model w:
Here is Tb3Eu after structural relaxation from the Materials Project. Energies are from PBE.

Calculated values
M_tot = 7.25 μB/f.u.
Calculated density = 7.855 Mg/m³

a b c (Å): 5.0980 5.0980 10.2288
angles (deg): 90.00 90.00 90.00
With the nearest neighbours (Å) after each atom.
Space group I4/mmm (No. 139)
Inequivalent atoms, fractional coordinates:
Tb 0.0000 0.0000 0.0000 x2  4 Eu 3.60, 8 Tb 3.61
Tb 0.0000 0.5000 0.2500 x4  8 Tb 3.60-3.61, 4 Eu 3.61
Eu 0.0000 0.0000 0.5000 x2  12 Tb 3.60-3.61


Model x:
Here is Tb3Eu after structural relaxation from the Materials Project. Energies are from PBE.

Calculated values
M_tot = 7.34 μB/f.u.
Calculated density = 8.003 Mg/m³

a b c (Å): 5.0716 5.0716 5.0716
angles (deg): 90.00 90.00 90.00
With the nearest neighbours (Å) after each atom.
Space group Pm-3m (No. 221)
Inequivalent atoms, fractional coordinates:
Tb 0.0000 0.0000 0.5000 x3  8 Tb 3.59, 4 Eu 3.59
Eu 0.5000 0.5000 0.5000 x1  12 Tb 3.59


Short version: model x is the least stable of them.